No. 1
# Pm2NiIr | Materials Project | PBE | optimized geometry
data_Pm2NiIr
_cell_length_a 4.944
_cell_length_b 4.944
_cell_length_c 4.944
_cell_angle_alpha 60.00
_cell_angle_beta 60.00
_cell_angle_gamma 60.00
_space_group_name_H-M_alt 'P 1'
_space_group_IT_number 1
loop_
_space_group_symop_operation_xyz
'x,y,z'
loop_
_atom_site_label
_atom_site_fract_x
_atom_site_fract_y
_atom_site_fract_z
Ir1 0.500 0.500 0.500
Pm1 0.250 0.250 0.250
Pm2 0.750 0.750 0.750
Ni1 0.000 0.000 0.000
# symmetry = Fm-3m
# calculated density = 10.508 Mg/m³
# final energy = -6.52 eV/atom
# E_form = -0.489 eV per atom

No. 2
# Pr2NiIr | Materials Project | PBE | optimized geometry
data_Pr2NiIr
_cell_length_a 5.029
_cell_length_b 5.029
_cell_length_c 5.029
_cell_angle_alpha 60.00
_cell_angle_beta 60.00
_cell_angle_gamma 60.00
_space_group_name_H-M_alt 'P 1'
_space_group_IT_number 1
loop_
_space_group_symop_operation_xyz
'x,y,z'
loop_
_atom_site_label
_atom_site_fract_x
_atom_site_fract_y
_atom_site_fract_z
Ni1 0.000 0.000 0.000
Pr1 0.750 0.750 0.750
Pr2 0.250 0.250 0.250
Ir1 0.500 0.500 0.500
# symmetry = Fm-3m
# calculated density = 9.838 Mg/m³
# final energy = -6.45 eV/atom
# E_form = -0.402 eV per atom

No. 3
# Sc2NiIr | Materials Project | PBE | optimized geometry
data_Sc2NiIr
_cell_length_a 4.537
_cell_length_b 4.537
_cell_length_c 4.537
_cell_angle_alpha 60.00
_cell_angle_beta 60.00
_cell_angle_gamma 60.00
_space_group_name_H-M_alt 'P 1'
_space_group_IT_number 1
loop_
_space_group_symop_operation_xyz
'x,y,z'
loop_
_atom_site_label
_atom_site_fract_x
_atom_site_fract_y
_atom_site_fract_z
Sc1 0.750 0.750 0.750
Sc2 0.250 0.250 0.250
Ni1 0.000 0.000 0.000
Ir1 0.500 0.500 0.500
# symmetry = Fm-3m
# calculated density = 8.569 Mg/m³
# final energy = -7.63 eV/atom
# E_form = -0.807 eV per atom

Q: Among the records above, which one has the highest calculated density?
A: Pm2NiIr